DFT (GGA+U) results for a geometry-optimized Li9Ni15O28 structure.

Lattice parameters (Å, degrees): 7.559 8.223 8.576 104.50 105.70 104.53
Positions (direct):
1 Ni 0.357 0.072 0.929
2 O 0.860 0.315 0.450
3 Ni 0.643 0.928 0.071
4 O 0.711 0.875 0.871
5 Ni 0.792 0.359 0.646
6 O 0.343 0.313 0.918
7 O 0.531 0.254 0.505
8 O 0.093 0.969 0.796
9 O 0.469 0.746 0.495
10 O 0.907 0.031 0.204
11 O 0.229 0.422 0.369
12 Li 0.926 0.280 0.207
13 O 0.140 0.685 0.550
14 O 0.657 0.687 0.082
15 O 0.728 0.416 0.847
16 Ni 0.208 0.641 0.354
17 Ni 0.432 0.791 0.710
18 O 0.945 0.533 0.205
19 O 0.554 0.444 0.293
20 Ni 0.865 0.076 0.432
21 O 0.272 0.584 0.153
22 Li 0.432 0.272 0.708
23 Li 0.074 0.720 0.793
24 O 0.771 0.578 0.631
25 Li 0.149 0.425 0.570
26 Ni 0.286 0.354 0.143
27 O 0.381 0.826 0.916
28 O 0.196 0.863 0.350
29 Ni 0.071 0.213 0.788
30 O 0.399 0.015 0.710
31 Li 0.500 0.000 0.500
32 Li 0.568 0.728 0.292
33 Ni 0.000 0.500 0.000
34 Ni 0.500 0.500 0.500
35 O 0.619 0.174 0.084
36 Ni 0.000 0.000 0.000
37 Li 0.360 0.579 0.936
38 O 0.126 0.164 0.583
39 O 0.874 0.836 0.417
40 O 0.446 0.556 0.707
41 Ni 0.135 0.924 0.568
42 O 0.055 0.467 0.795
43 O 0.804 0.137 0.650
44 O 0.601 0.985 0.290
45 Ni 0.929 0.787 0.212
46 O 0.022 0.257 0.997
47 Ni 0.714 0.646 0.857
48 Li 0.640 0.421 0.064
49 Li 0.851 0.575 0.430
50 O 0.978 0.743 0.003
51 Ni 0.568 0.209 0.290
52 O 0.289 0.125 0.129

Summary:
The calculation puts the formation energy at -6470 kJ/mol of formula units.

DFT (GGA+U) results for a geometry-optimized K3MgScV2O8 structure.

Lattice parameters (Å, degrees): 6.057 5.943 8.134 90.00 87.57 119.38
Positions (direct):
1 Sc 0.000 0.000 0.500
2 K 0.591 0.296 0.257
3 O 0.714 0.857 0.313
4 V 0.389 0.695 0.257
5 O 0.806 0.634 0.628
6 O 0.194 0.366 0.372
7 V 0.611 0.305 0.743
8 O 0.336 0.668 0.051
9 K 0.409 0.704 0.743
10 O 0.664 0.332 0.949
11 O 0.286 0.143 0.687
12 K 0.000 0.000 0.000
13 Mg 0.000 0.500 0.500
14 O 0.806 0.172 0.628
15 O 0.194 0.828 0.372

Summary:
The calculation puts the formation energy at -3630 kJ/mol of formula units.

DFT (GGA+U) results for a geometry-optimized P2W2O11 structure.

Lattice parameters (Å, degrees): 7.983 12.739 8.000 90.00 92.26 90.00
Positions (direct):
1 P 0.251 0.752 0.612
2 O 0.924 0.722 0.326
3 O 0.102 0.900 0.235
4 O 0.669 0.273 0.913
5 W 0.149 0.750 0.191
6 O 0.791 0.495 0.161
7 W 0.639 0.498 0.310
8 O 0.331 0.773 0.087
9 W 0.851 0.250 0.809
10 O 0.898 0.597 0.765
11 O 0.555 0.999 0.849
12 O 0.076 0.222 0.674
13 O 0.629 0.345 0.339
14 O 0.896 0.999 0.409
15 O 0.743 0.755 0.575
16 O 0.102 0.097 0.235
17 O 0.831 0.094 0.812
18 O 0.666 0.154 0.309
19 P 0.072 0.999 0.344
20 P 0.746 0.999 0.894
21 O 0.557 0.997 0.517
22 O 0.450 0.996 0.189
23 O 0.773 0.004 0.084
24 O 0.257 0.742 0.419
25 W 0.152 0.246 0.194
26 O 0.104 0.499 0.591
27 O 0.443 0.497 0.483
28 O 0.227 0.504 0.916
29 O 0.335 0.220 0.093
30 O 0.743 0.242 0.581
31 O 0.898 0.400 0.765
32 O 0.173 0.401 0.181
33 O 0.827 0.901 0.819
34 O 0.076 0.773 0.669
35 O 0.628 0.652 0.332
36 P 0.749 0.745 0.382
37 O 0.000 0.747 0.997
38 O 0.795 0.500 0.509
39 W 0.848 0.746 0.806
40 W 0.637 0.999 0.306
41 O 0.000 0.247 0.003
42 P 0.251 0.245 0.618
43 O 0.209 0.995 0.839
44 O 0.169 0.594 0.188
45 O 0.371 0.845 0.661
46 O 0.673 0.844 0.300
47 P 0.254 0.499 0.106
48 O 0.372 0.152 0.668
49 W 0.363 0.499 0.694
50 O 0.924 0.273 0.331
51 W 0.361 0.998 0.690
52 O 0.445 0.499 0.151
53 O 0.257 0.255 0.425
54 O 0.665 0.720 0.907
55 O 0.327 0.344 0.700
56 O 0.205 0.000 0.491
57 O 0.550 0.496 0.811
58 O 0.334 0.654 0.691
59 P 0.928 0.499 0.656
60 P 0.749 0.252 0.388

Summary:
The calculation puts the excess energy over the best structure of this formula in the dataset at 7 meV/atom. The calculation puts the formation energy at -3440 kJ/mol of formula units.

DFT (GGA+U) results for a geometry-optimized CaLaFeO4 structure.

Lattice parameters (Å, degrees): 6.786 6.786 5.507 90.00 90.00 132.07
Positions (direct):
1 O 0.422 0.578 0.250
2 O 0.920 0.080 0.750
3 La 0.392 0.608 0.750
4 Fe 0.246 0.754 0.250
5 O 0.464 0.971 0.533
6 Ca 0.895 0.105 0.250
7 Fe 0.754 0.246 0.750
8 O 0.971 0.464 0.467
9 O 0.029 0.536 0.967
10 O 0.536 0.029 0.033
11 O 0.080 0.920 0.250
12 Ca 0.105 0.895 0.750
13 O 0.578 0.422 0.750
14 La 0.608 0.392 0.250

Summary:
The calculation puts the formation energy at -1962 kJ/mol of formula units.